! Na2MnO2 (PBE+U, relaxed); values from VASP
&SYSTEM
  ibrav = 0, nat = 20, ntyp = 3
/
ATOMIC_SPECIES
Na 22.99 Na.upf
O 16.00 O.upf
Mn 54.94 Mn.upf
ATOMIC_POSITIONS angstrom
Na 0.6072 -5.7904 2.8665
O 1.6828 -5.2875 5.7340
Na -0.5817 -5.7763 -0.0007
Na 2.3456 -7.4906 5.7338
O 4.5822 -7.9902 5.7339
O 1.6830 -5.2881 -0.0003
Mn 2.9276 -4.4336 1.4604
Mn 2.9274 -4.4331 7.1949
Mn 2.9285 -4.4320 -1.4614
O 4.1731 -3.5775 -0.0006
Na 3.5102 -1.3746 -0.0002
Na 5.2488 -3.0745 2.8667
Na 6.4375 -3.0887 5.7339
O 1.2737 -0.8750 -0.0003
O 4.2016 -5.3074 2.8661
Mn 2.9283 -4.4314 4.2728
O 1.6543 -3.5576 2.8669
Na 0.6068 -3.0727 0.0000
Na 5.2492 -5.7924 5.7336
O 4.1729 -3.5770 5.7337
CELL_PARAMETERS angstrom
5.8310 -0.0166 -0.0002
2.9278 -4.4320 8.6010
-2.9029 -4.4165 -2.8674
! formation enthalpy at 0 K	-1.66	eV/atom